The following is a PBE calculation of a geometry-optimized GdGe2Rh2 structure, from the Materials Project.

extended XYZ file:
```
5
Lattice="-2.079 2.079 5.227 2.079 -2.079 5.227 2.079 2.079 -5.227" Properties=species:S:1:pos:R:3 pbc="T T T"
Gd 0.000 0.000 0.000
Ge 0.000 0.000 6.507
Rh 0.000 2.079 2.614
Ge 0.000 0.000 3.948
Rh 2.079 0.000 2.614
```

- Space group: I4/mmm (139)
- Uncorrected energy: -42.5 eV for the cell shown



The following is a PBE calculation of a geometry-optimized Sr4CaSm2Ta2O12 structure, from the Materials Project.

extended XYZ file:
```
21
Lattice="-4.279 -0.417 4.671 -2.918 -4.112 -3.837 4.397 -6.501 2.556" Properties=species:S:1:pos:R:3 pbc="T T T"
O -1.814 -0.869 0.816
Sm -2.093 -4.045 5.185
O -3.015 -6.956 1.165
O -0.178 -7.281 1.793
Sr -1.003 -2.832 -0.383
Sr -3.198 -5.660 -1.054
Ca -4.156 -5.280 2.291
O -3.278 -1.933 5.216
Sm -3.802 -2.103 1.005
O -0.339 -7.587 5.412
Sr -1.457 -9.083 0.364
O -1.246 -9.892 2.833
Ta -1.193 -5.597 1.551
O -2.591 -4.182 0.984
O -0.734 -5.757 -0.427
Sr 1.499 -7.212 -0.125
Ta 1.421 -10.425 -1.282
O -2.818 -3.245 -1.951
O 0.195 -8.861 -1.574
O 0.189 -4.244 1.800
O -1.914 -5.488 3.440
```

- Magnetization: 0.000 μB per formula unit
- Energy above the most stable polymorph in this dataset: 0.027 eV/atom
- Space group: P1 (1)
- Energy with MP2020 corrections: -169.0 eV/f.u.



The following is a PBE calculation of a geometry-optimized Ni6SnSe2 structure, from the Materials Project.

extended XYZ file:
```
9
Lattice="4.249 -6.744 5.631 2.004 -3.381 8.933 -5.317 3.645 -7.327" Properties=species:S:1:pos:R:3 pbc="T T T"
Ni 0.105 -2.585 0.640
Ni 3.132 -5.072 7.295
Se 4.240 -6.867 9.877
Ni 1.968 -5.602 4.980
Ni 0.846 -3.920 6.631
Se 1.979 -3.204 4.609
Sn 0.002 -0.003 0.005
Ni 5.008 -8.110 11.665
Ni -1.018 -0.903 2.291
```

- Magnetization: 0.000 μB per formula unit
- Space group: I4mm (107)
- Energy with MP2020 corrections: -48.5 eV/f.u.



The following is a PBE calculation of a geometry-optimized AlH18RuN6F6 structure, from the Materials Project.

extended XYZ file:
```
128
Lattice="10.074 0.000 0.000 0.000 10.074 0.000 0.000 0.000 10.074" Properties=species:S:1:pos:R:3 pbc="T T T"
F 3.726 0.605 6.184
H 7.632 9.551 6.084
Ru 5.037 0.000 0.000
H 9.027 2.595 9.551
F 6.349 9.469 3.890
N 9.303 6.350 8.595
H 8.639 6.837 1.304
H 3.237 8.770 1.435
H 1.047 7.632 5.560
F 6.349 5.643 8.927
H 3.698 5.468 2.758
H 3.733 3.602 6.837
N 1.313 6.516 0.771
H 2.758 3.698 5.468
H 9.551 6.084 7.632
H 4.607 7.316 6.376
H 3.733 1.435 1.800
N 0.771 3.724 1.479
N 1.479 4.266 8.761
H 2.595 9.551 9.027
H 9.027 2.442 4.514
H 9.644 7.316 8.735
H 1.800 3.733 1.435
H 7.479 0.523 1.047
H 1.339 0.431 2.758
N 1.479 0.771 3.724
Al 0.000 0.000 0.000
N 5.808 3.724 3.558
H 5.468 2.758 3.698
F 1.311 5.643 6.184
H 3.990 2.442 0.523
F 9.469 3.890 6.349
H 0.523 3.990 2.442
Al 0.000 5.037 5.037
H 2.279 6.376 0.431
H 0.523 1.047 7.479
N 8.595 9.303 6.350
H 2.758 1.339 0.431
Ru 0.000 0.000 5.037
Ru 0.000 5.037 0.000
N 8.595 5.808 1.313
H 4.514 9.027 2.442
H 1.435 3.237 8.770
H 3.698 9.644 7.795
H 1.047 7.479 0.523
H 1.304 8.639 6.837
H 7.632 5.560 1.047
F 8.763 4.432 3.890
H 9.551 9.027 2.595
F 5.643 6.184 1.311
H 7.316 8.735 9.644
H 8.735 9.644 7.316
H 2.442 4.514 9.027
Ru 5.037 5.037 5.037
N 4.266 8.761 1.479
F 8.927 8.763 0.605
F 6.184 3.726 0.605
H 0.431 2.758 1.339
H 3.602 6.837 3.733
F 6.184 1.311 5.643
N 3.558 9.303 8.761
H 6.376 4.607 7.316
N 9.303 8.761 3.558
F 1.147 1.311 9.469
H 1.800 1.304 6.472
H 3.602 8.275 8.770
N 8.761 1.479 4.266
H 4.514 6.084 7.479
Al 5.037 5.037 0.000
F 1.311 9.469 1.147
F 4.432 1.147 3.726
H 7.316 6.376 4.607
N 3.558 5.808 3.724
F 9.469 1.147 1.311
H 6.341 8.639 8.275
N 8.761 3.558 9.303
H 8.275 6.341 8.639
F 4.432 3.890 8.763
Al 5.037 0.000 5.037
H 6.837 1.304 8.639
H 8.770 3.602 8.275
N 4.266 6.350 6.516
H 6.084 7.479 4.514
F 3.726 4.432 1.147
H 8.275 8.770 3.602
N 6.516 0.771 1.313
F 3.890 8.763 4.432
F 8.927 6.349 5.643
N 6.350 8.595 9.303
N 0.771 1.313 6.516
H 0.431 2.279 6.376
N 3.724 3.558 5.808
H 6.837 3.733 3.602
N 6.516 4.266 6.350
F 5.643 8.927 6.349
N 5.808 1.313 8.595
N 1.313 8.595 5.808
H 6.341 6.472 3.237
H 4.607 7.795 1.339
H 6.472 1.800 1.304
H 6.376 0.431 2.279
H 1.435 1.800 3.733
H 3.237 6.341 6.472
N 3.724 1.479 0.771
H 8.639 8.275 6.341
H 6.084 7.632 9.551
H 2.442 0.523 3.990
H 8.770 1.435 3.237
H 5.560 1.047 7.632
H 1.304 6.472 1.800
H 7.795 1.339 4.607
H 8.735 5.468 2.279
F 3.890 6.349 9.469
H 2.595 5.560 3.990
F 0.605 6.184 3.726
H 6.472 3.237 6.341
N 6.350 6.516 4.266
H 5.560 3.990 2.595
H 1.339 4.607 7.795
H 5.468 2.279 8.735
H 3.990 2.595 5.560
F 8.763 0.605 8.927
H 7.795 3.698 9.644
H 2.279 8.735 5.468
F 0.605 8.927 8.763
F 1.147 3.726 4.432
H 9.644 7.795 3.698
H 7.479 4.514 6.084
```

- Space group: Pa-3 (205)
- Energy with MP2020 corrections: -171.5 eV/f.u.



The following is a PBE calculation of a geometry-optimized Pr3MgNi14 structure, from the Materials Project.

extended XYZ file:
```
18
Lattice="-0.607 11.561 -4.446 -4.998 9.698 -5.896 -4.457 11.502 -1.280" Properties=species:S:1:pos:R:3 pbc="T T T"
Ni -2.532 11.527 -2.864
Ni -6.415 17.599 -7.471
Ni -5.848 14.224 -4.872
Pr -9.496 30.919 -10.968
Ni -3.913 14.253 -6.464
Ni -5.039 16.408 -5.820
Pr -0.520 1.693 -0.601
Ni -3.913 12.741 -4.520
Pr -1.513 4.927 -1.748
Ni -2.797 9.106 -3.230
Ni -7.265 23.656 -8.392
Ni -4.219 18.530 -6.746
Ni -6.144 18.501 -5.163
Ni -6.158 20.050 -7.113
Ni -4.724 10.597 -3.587
Mg -8.584 27.951 -9.915
Ni -2.802 10.627 -5.167
Ni -3.641 15.160 -4.144
```

- Magnetization: 2.564 μB per formula unit
- Space group: R3m (160)
- Uncorrected energy: -101.9 eV for the cell shown



The following is a PBE calculation of a geometry-optimized Zn10Pd3 structure, from the Materials Project.

extended XYZ file:
```
26
Lattice="6.518 4.553 0.000 -6.518 4.553 0.000 0.000 4.338 6.501" Properties=species:S:1:pos:R:3 pbc="T T T"
Zn 0.000 8.021 1.444
Pd 0.000 6.112 4.283
Zn -4.231 4.501 2.285
Zn 0.000 4.136 2.544
Pd 0.000 10.595 2.238
Pd 2.247 7.473 0.098
Zn 4.714 6.184 4.221
Zn -2.323 7.157 4.744
Zn 1.428 5.321 6.461
Zn 0.000 3.274 0.044
Zn 2.323 7.157 4.744
Zn 0.000 8.703 4.081
Zn -1.428 5.321 6.461
Pd -2.247 7.473 0.098
Zn 4.231 4.501 2.285
Zn -2.492 9.203 6.401
Zn -4.714 6.184 4.221
Zn 1.753 6.153 2.288
Pd -4.128 8.947 4.119
Zn 0.000 3.448 5.081
Zn 0.000 10.183 6.458
Pd 4.128 8.947 4.119
Zn -2.252 2.833 1.805
Zn -1.753 6.153 2.288
Zn 2.252 2.833 1.805
Zn 2.492 9.203 6.401
```

- Space group: Cm (8)
- Uncorrected energy: -65.0 eV for the cell shown



The following is a PBE calculation of a geometry-optimized Te2Mo3WS6 structure, from the Materials Project.

extended XYZ file:
```
12
Lattice="1.639 -2.838 0.000 1.639 2.838 0.000 0.000 0.000 36.415" Properties=species:S:1:pos:R:3 pbc="T T T"
Mo 1.639 -0.946 10.262
Mo 1.639 0.946 17.099
S 1.639 -0.946 4.958
S 1.639 0.946 8.724
S 1.639 0.946 11.798
Te 1.639 0.946 22.009
S 1.639 -0.946 15.565
Mo 1.639 0.946 3.421
S 1.639 -0.946 18.635
W 1.639 -0.946 23.947
S 1.639 -0.946 1.883
Te 1.639 0.946 25.883
```

- Magnetization: 0.000 μB per formula unit
- Energy above the most stable polymorph in this dataset: 0.040 eV/atom
- Space group: P3m1 (156)
- Energy with MP2020 corrections: -86.9 eV/f.u.



The following is a PBE calculation of a geometry-optimized CeZr4O10 structure, from the Materials Project.

extended XYZ file:
```
15
Lattice="10.486 -8.144 1.168 7.921 -9.151 5.585 -10.535 6.761 -4.579" Properties=species:S:1:pos:R:3 pbc="T T T"
Zr 11.096 -10.425 4.071
Zr 14.708 -13.819 5.396
O 0.970 -1.626 -1.341
Ce 0.000 0.000 0.000
Zr 3.699 -3.476 1.357
O 6.902 -8.908 3.515
O 5.100 -7.215 2.853
O -0.313 -2.129 0.868
O 6.383 -6.712 0.645
O 2.772 -3.319 -0.680
O 3.295 -5.518 2.191
O 1.489 -3.822 1.529
Zr 7.312 -6.870 2.682
O 8.185 -8.405 1.306
O 4.578 -5.015 -0.018
```

- Magnetization: 0.000 μB per formula unit
- Space group: I4/mmm (139)
- Energy with MP2020 corrections: -146.0 eV/f.u.



The following is a PBE calculation of a geometry-optimized Ta3Al2CoC structure, from the Materials Project.

extended XYZ file:
```
28
Lattice="-0.553 -8.100 1.209 -6.719 -3.180 3.481 -5.221 -4.472 -4.485" Properties=species:S:1:pos:R:3 pbc="T T T"
Ta -9.548 -10.040 1.430
C -7.808 -9.845 0.128
Ta -11.521 -11.729 -0.264
Ta -8.397 -7.791 -0.315
Ta -9.757 -13.100 1.887
Ta -6.425 -6.102 1.379
Ta -6.634 -9.162 1.836
Ta -9.192 -13.588 -1.122
Ta -6.068 -9.650 -1.174
Al -1.947 -4.186 -1.071
C -4.449 -8.255 -1.612
C -7.532 -5.795 -0.476
Ta -8.983 -10.528 -1.579
Ta -4.096 -7.960 0.521
Al -2.437 -3.763 1.536
Al -6.951 -12.324 -2.154
C -5.198 -7.609 2.371
Al -4.145 -5.226 0.068
Al -7.958 -11.455 3.206
Co -1.838 -6.019 0.630
Ta -7.219 -11.898 0.572
Al -11.099 -9.014 -0.625
Al -11.471 -14.463 0.189
Ta -5.859 -6.590 -1.630
Co -1.562 -1.969 0.026
Co -4.172 -4.205 -2.217
Al -3.964 -2.576 -0.327
Co -4.921 -3.559 1.766
```

- Magnetization: 0.080 μB per formula unit
- Space group: Fd-3m (227)
- Uncorrected energy: -253.7 eV for the cell shown